# GGA+U MnP2O7, optimized geometry
# ΔH_f (0 K)	-2.38	eV/atom
# crystal system	triclinic
# energy relative to the lowest polymorph listed for this composition	8	meV per atom
# V	12.50	Å³ per atom
data_MnP2O7
_space_group_name_H-M_alt 'P -1'
_space_group_IT_number 2
_cell_length_a 4.976
_cell_length_b 6.625
_cell_length_c 8.154
_cell_angle_alpha 68.53
_cell_angle_beta 88.38
_cell_angle_gamma 88.40
loop_
_space_group_symop_operation_xyz
'x,y,z'
'-x,-y,-z'
loop_
_atom_site_label
_atom_site_type_symbol
_atom_site_fract_x
_atom_site_fract_y
_atom_site_fract_z
Mn1 Mn 0.241 0.212 0.233
P1 P 0.244 0.104 0.665
P2 P 0.277 0.456 0.814
O1 O 0.049 0.951 0.274
O2 O 0.085 0.650 0.734
O3 O 0.176 0.288 0.989
O4 O 0.286 0.338 0.674
O5 O 0.303 0.136 0.474
O6 O 0.433 0.475 0.180
O7 O 0.443 0.944 0.791